*P*
A plane-wave DFT calculation with GGA+U was carried out for crystalline Rb3NaMgMo2O8 at its relaxed geometry.

Unit cell a=7.1751 b=7.1751 c=7.9951 alpha=99.22 beta=99.22 gamma=51.53
Fractional positions:
Rb1 0.0000 0.0000 0.0000
Rb2 0.2707 0.2707 0.6571
Rb3 0.7293 0.7293 0.3429
Na1 0.0000 0.0000 0.5000
Mg1 0.5000 0.5000 0.5000
Mo1 0.3251 0.3251 0.2115
Mo2 0.6749 0.6749 0.7885
O1 0.1927 0.1927 0.2608
O2 0.1956 0.6215 0.3554
O3 0.3486 0.3486 0.9969
O4 0.3785 0.8044 0.6446
O5 0.6215 0.1956 0.3554
O6 0.6514 0.6514 0.0031
O7 0.8044 0.3785 0.6446
O8 0.8073 0.8073 0.7392

Properties
Its space-group type is C2/m (12).


*Q*
A plane-wave DFT calculation with GGA+U was carried out for crystalline Rb3NaMgMo2O8 at its relaxed geometry.

Unit cell a=6.2692 b=6.2692 c=8.9421 alpha=90.00 beta=90.00 gamma=120.00
Fractional positions:
Rb1 0.0000 0.0000 0.0000
Rb2 0.3333 0.6667 0.6202
Rb3 0.6667 0.3333 0.3078
Na1 0.3333 0.6667 0.2561
Mg1 0.3333 0.6667 0.9583
Mo1 0.0000 0.0000 0.4602
Mo2 0.6667 0.3333 0.8817
O1 0.0000 0.0000 0.6581
O2 0.1559 0.3117 0.3888
O3 0.1559 0.8441 0.3888
O4 0.5040 0.0081 0.9907
O5 0.5040 0.4960 0.9907
O6 0.6667 0.3333 0.6772
O7 0.6883 0.8441 0.3888
O8 0.9919 0.4960 0.9907

Properties
Its space-group type is P3m1 (156).


Least stable: *Q*


*P*
A plane-wave DFT calculation with GGA+U was carried out for crystalline MgMo2O4 at its relaxed geometry.

Unit cell a=9.6145 b=3.1402 c=11.0280 alpha=90.00 beta=90.00 gamma=90.00
Fractional positions:
Mg1 0.2481 0.2500 0.1577
Mg2 0.2519 0.7500 0.6577
Mg3 0.7481 0.2500 0.3423
Mg4 0.7519 0.7500 0.8423
Mo1 0.0497 0.2500 0.3780
Mo2 0.1018 0.2500 0.9014
Mo3 0.3982 0.7500 0.4014
Mo4 0.4503 0.7500 0.8780
Mo5 0.5497 0.2500 0.1220
Mo6 0.6018 0.2500 0.5986
Mo7 0.8982 0.7500 0.0986
Mo8 0.9503 0.7500 0.6220
O1 0.0753 0.7500 0.7782
O2 0.1001 0.2500 0.5714
O3 0.1189 0.7500 0.0457
O4 0.1901 0.7500 0.3145
O5 0.3099 0.2500 0.8145
O6 0.3811 0.2500 0.5457
O7 0.3999 0.7500 0.0714
O8 0.4247 0.2500 0.2782
O9 0.5753 0.7500 0.7218
O10 0.6001 0.2500 0.9286
O11 0.6189 0.7500 0.4543
O12 0.6901 0.7500 0.1855
O13 0.8099 0.2500 0.6855
O14 0.8811 0.2500 0.9543
O15 0.8999 0.7500 0.4286
O16 0.9247 0.2500 0.2218

Properties
Its space-group type is Pnma (62).


*Q*
A plane-wave DFT calculation with GGA+U was carried out for crystalline MgMo2O4 at its relaxed geometry.

Unit cell a=6.2632 b=6.4293 c=15.2314 alpha=89.30 beta=88.71 gamma=61.20
Fractional positions:
Mg1 0.0000 0.0000 0.0000
Mg2 0.0067 0.0055 0.3794
Mg3 0.3258 0.8404 0.8398
Mg4 0.6499 0.6757 0.6694
Mg5 0.6768 0.1615 0.1707
Mg6 0.9876 0.5058 0.5037
Mo1 0.1720 0.1600 0.1684
Mo2 0.1735 0.6609 0.1701
Mo3 0.3208 0.3504 0.9525
Mo4 0.3289 0.3351 0.7315
Mo5 0.3326 0.3403 0.3430
Mo6 0.4854 0.5107 0.5031
Mo7 0.4897 0.0016 0.5068
Mo8 0.6552 0.6867 0.2732
Mo9 0.6766 0.6607 0.0807
Mo10 0.8187 0.8398 0.8363
Mo11 0.8217 0.3430 0.8400
Mo12 0.9523 0.0266 0.6277
O1 0.0001 0.0131 0.7602
O2 0.0068 0.9878 0.2461
O3 0.0408 0.4640 0.2515
O4 0.1291 0.7124 0.9157
O5 0.1496 0.1576 0.9138
O6 0.1673 0.1857 0.4281
O7 0.1735 0.6580 0.4278
O8 0.3092 0.8442 0.0826
O9 0.3166 0.3393 0.5775
O10 0.3447 0.3324 0.0931
O11 0.3524 0.8017 0.5841
O12 0.4758 0.0520 0.2550
O13 0.4992 0.4660 0.2474
O14 0.5001 0.5225 0.7566
O15 0.5010 0.9811 0.7509
O16 0.6486 0.1891 0.4290
O17 0.6499 0.6713 0.9069
O18 0.6591 0.6755 0.4304
O19 0.6997 0.1378 0.9199
O20 0.7885 0.3761 0.5832
O21 0.8176 0.8195 0.5834
O22 0.8511 0.3028 0.0872
O23 0.8508 0.8495 0.0900
O24 0.9607 0.5226 0.7500

Properties
Its space-group type is P1 (1).


Least stable: *Q*